# 1
Below is crystalline Na10Mg3Zr5Si6S6O48 at its relaxed geometry, with properties calculated at the PBE level.

Cell lengths 18.2034, 9.1085, 22.8442 Å; angles 89.96, 89.90, 119.97 degrees
Closest atoms and distances in Å follow each position.
Fractional positions:
Na  0.3183  0.9999  0.2446  5 O 2.41-2.62
Na  0.1962  0.3709  0.2439  4 O 2.32-2.56
Na  0.6897  0.3686  0.2428  5 O 2.42-2.61
Na  0.9983  0.6426  0.2506  4 O 2.42-2.66
Na  0.3182  0.6183  0.7540  4 O 2.39-2.64
Na  0.8192  0.6280  0.7478  5 O 2.47-2.74
Na  0.9937  0.3604  0.7496  5 O 2.42-2.70
Na  0.4963  0.3723  0.7414  5 O 2.39-2.60
Na  0.1810  0.0081  0.7474  4 O 2.39-2.67
Na  0.6861  0.0107  0.7488  4 O 2.44-2.61
Na  0.6468  0.3456  0.5759  5 O 2.31-2.57
Na  0.3241  0.6849  0.0794  4 O 2.32-2.57
Na  0.8264  0.6872  0.0877  3 O 2.31-2.58
Na  0.1645  0.3188  0.9235  5 O 2.41-2.69
Na  0.9938  0.3093  0.4207  3 O 2.41-2.58
Na  0.1648  0.0295  0.4192  4 O 2.44-2.53
Na  0.6627  0.0290  0.4134  4 O 2.35-2.57
Na  0.8417  0.6679  0.4178  5 O 2.49-2.78
Na  0.0019  0.0043  0.4995  6 O 2.56-2.65
Na  0.4931  0.0133  0.4944  4 O 2.47-2.75
Na  0.0067  0.0250  0.9996  4 O 2.39-2.67
Na  0.5031  0.0249  0.9959  5 O 2.42-2.68
Na  0.3444  0.3569  0.8336  4 O 2.44-2.71
Na  0.8387  0.3351  0.8277  5 O 2.52-2.81
Na  0.3372  0.3634  0.3263  1 O 2.28
Na  0.8322  0.3335  0.3291  4 O 2.43-2.66
Na  0.1688  0.6625  0.1584  2 O 2.32-2.50
Na  0.6644  0.6634  0.1593  3 O 2.37-2.57
Na  0.1613  0.6590  0.6613  5 O 2.49-2.64
Na  0.6588  0.6651  0.6605  2 O 2.33-2.56
Mg  0.4974  0.9982  0.3518  3 O 1.91-2.14
Mg  0.3388  0.3467  0.6832  4 O 1.97-2.13
Mg  0.8358  0.3357  0.6886  6 O 2.01-2.21
Mg  0.3307  0.3441  0.1859  4 O 1.96-2.15
Mg  0.8298  0.3362  0.1817  4 O 1.94-2.15
Mg  0.1659  0.6440  0.0161  3 O 1.93-2.01
Mg  0.6586  0.6422  0.0187  2 O 1.88-2.00
Mg  0.1628  0.6576  0.5150  3 O 1.95-2.17
Mg  0.6617  0.6522  0.5160  4 O 1.99-2.11
Zr  0.0001  0.9927  0.3529  6 O 2.04-2.28
Zr  0.9989  0.0057  0.8495  4 O 1.97-2.08
Zr  0.5022  0.9984  0.8564  6 O 2.03-2.26
Zr  0.0010  0.0017  0.6509  3 O 1.98-1.99
Zr  0.5020  0.0064  0.6464  5 O 2.00-2.22
Zr  0.0057  0.9987  0.1473  4 O 1.96-2.19
Zr  0.5005  0.0016  0.1461  6 O 2.01-2.18
Zr  0.3337  0.3392  0.9791  6 O 2.03-2.24
Zr  0.8291  0.3274  0.9811  6 O 1.98-2.20
Zr  0.3386  0.3388  0.4836  5 O 1.94-2.17
Zr  0.8335  0.3356  0.4777  6 O 2.02-2.20
Zr  0.1715  0.6637  0.3165  5 O 2.00-2.15
Zr  0.6732  0.6700  0.3164  3 O 1.97-2.04
Zr  0.1591  0.6470  0.8189  4 O 1.96-2.12
Zr  0.6595  0.6558  0.8132  4 O 1.97-2.13
Si  0.1520  0.0014  0.2511  4 O 1.61-1.66
Si  0.3582  0.7081  0.2524  4 O 1.59-1.72
Si  0.8512  0.6989  0.2474  4 O 1.64-1.67
Si  0.1510  0.2964  0.7492  4 O 1.61-1.66
Si  0.6484  0.2918  0.7491  4 O 1.61-1.67
Si  0.0018  0.7071  0.7501  4 O 1.61-1.66
Si  0.4970  0.7049  0.7492  4 O 1.62-1.66
Si  0.8518  0.0006  0.7486  4 O 1.61-1.66
Si  0.4844  0.3414  0.5877  4 O 1.61-1.70
Si  0.1851  0.3374  0.0856  4 O 1.61-1.69
Si  0.6856  0.3407  0.0871  4 O 1.62-1.68
Si  0.3147  0.6722  0.9202  4 O 1.59-1.68
Si  0.0154  0.3652  0.9194  4 O 1.58-1.69
Si  0.5192  0.3717  0.9186  4 O 1.58-1.68
Si  0.8100  0.9530  0.4211  4 O 1.58-1.67
Si  0.1691  0.3735  0.4188  4 O 1.59-1.67
Si  0.6582  0.3602  0.4194  4 O 1.59-1.72
Si  0.0250  0.6700  0.4181  4 O 1.58-1.67
S  0.6464  0.9988  0.2512  4 O 1.47-1.50
S  0.9972  0.2915  0.2495  4 O 1.47-1.50
S  0.4999  0.2923  0.2512  4 O 1.46-1.51
S  0.3534  0.0002  0.7502  4 O 1.47-1.49
S  0.9815  0.3366  0.5844  4 O 1.47-1.51
S  0.1872  0.0357  0.5841  4 O 1.47-1.52
S  0.6886  0.0380  0.5846  4 O 1.45-1.52
S  0.3293  0.6271  0.5848  4 O 1.47-1.51
S  0.8348  0.6289  0.5849  4 O 1.47-1.51
S  0.4809  0.6233  0.0854  4 O 1.46-1.53
S  0.9805  0.6228  0.0843  4 O 1.45-1.53
S  0.3320  0.0417  0.0860  4 O 1.47-1.54
S  0.8317  0.0404  0.0847  4 O 1.47-1.51
S  0.8130  0.6682  0.9192  4 O 1.46-1.51
S  0.1659  0.9547  0.9187  4 O 1.45-1.50
S  0.6681  0.9546  0.9193  4 O 1.45-1.51
S  0.3152  0.9588  0.4194  4 O 1.45-1.53
S  0.5211  0.6678  0.4172  4 O 1.47-1.51
O  0.1054  0.0321  0.3081  1 Si 1.65
O  0.6095  0.0274  0.3045  1 S 1.47
O  0.4131  0.8139  0.3070  1 Si 1.59
O  0.9094  0.7975  0.3050  1 Si 1.65
O  0.4892  0.1901  0.3032  1 S 1.46
O  0.9860  0.1954  0.3042  1 S 1.48
O  0.1064  0.1802  0.8079  1 Si 1.65
O  0.6002  0.1646  0.8032  1 Si 1.62
O  0.4814  0.7981  0.8045  1 Si 1.62
O  0.9855  0.7976  0.8065  1 Si 1.63
O  0.4071  0.0287  0.8018  1 S 1.47
O  0.9152  0.0366  0.8047  1 Si 1.65
O  0.3923  0.9685  0.6976  1 S 1.49
O  0.8963  0.9584  0.6927  1 Si 1.66
O  0.0834  0.2064  0.6948  1 Si 1.65
O  0.5862  0.2101  0.6907  1 Si 1.67
O  0.0210  0.8358  0.6936  1 Si 1.66
O  0.5129  0.8283  0.6919  1 Si 1.65
O  0.3991  0.8289  0.1917  1 Si 1.69
O  0.8959  0.8152  0.1893  1 Si 1.64
O  0.0109  0.2058  0.1991  1 S 1.48
O  0.5182  0.2141  0.1986  1 S 1.51
O  0.0857  0.9696  0.1963  1 Si 1.66
O  0.5927  0.9811  0.1991  1 S 1.50
O  0.4375  0.3491  0.6463  1 Si 1.61
O  0.9373  0.3482  0.6365  1 S 1.47
O  0.2358  0.1218  0.6369  1 S 1.47
O  0.7383  0.1233  0.6368  1 S 1.46
O  0.3187  0.5282  0.6383  1 S 1.47
O  0.8265  0.5239  0.6364  1 S 1.47
O  0.4408  0.5192  0.1370  1 S 1.46
O  0.9425  0.5257  0.1385  1 S 1.48
O  0.3281  0.1252  0.1402  1 S 1.47
O  0.8251  0.1270  0.1369  1 S 1.47
O  0.2415  0.3579  0.1428  1 Si 1.61
O  0.7411  0.3644  0.1456  1 Si 1.62
O  0.2309  0.3105  0.0259  1 Si 1.68
O  0.7356  0.3131  0.0300  1 Si 1.68
O  0.4264  0.5454  0.0322  1 S 1.50
O  0.9238  0.5342  0.0334  1 S 1.50
O  0.3456  0.1488  0.0339  1 S 1.48
O  0.8457  0.1476  0.0311  1 S 1.50
O  0.2296  0.1428  0.5303  1 S 1.52
O  0.7298  0.1487  0.5313  1 S 1.52
O  0.3412  0.5389  0.5327  1 S 1.51
O  0.8435  0.5436  0.5306  1 S 1.51
O  0.4225  0.3178  0.5297  1 Si 1.68
O  0.9296  0.3175  0.5303  1 S 1.51
O  0.2737  0.6973  0.9782  1 Si 1.59
O  0.7735  0.6915  0.9715  1 S 1.46
O  0.0800  0.4600  0.9709  1 Si 1.58
O  0.5774  0.4635  0.9729  1 Si 1.58
O  0.1566  0.8512  0.9693  1 S 1.45
O  0.6613  0.8529  0.9700  1 S 1.45
O  0.2730  0.8542  0.4701  1 S 1.45
O  0.7657  0.8286  0.4745  1 Si 1.58
O  0.1493  0.4610  0.4720  1 Si 1.59
O  0.6498  0.4453  0.4780  1 Si 1.59
O  0.0880  0.7149  0.4714  1 Si 1.58
O  0.5741  0.6929  0.4687  1 S 1.47
O  0.0615  0.6305  0.3574  1 Si 1.65
O  0.5593  0.6383  0.3637  1 S 1.49
O  0.2610  0.8841  0.3646  1 S 1.53
O  0.7501  0.8750  0.3614  1 Si 1.67
O  0.1826  0.4806  0.3567  1 Si 1.67
O  0.6798  0.4888  0.3610  1 Si 1.69
O  0.0550  0.4702  0.8558  1 Si 1.69
O  0.5599  0.4833  0.8568  1 Si 1.68
O  0.1760  0.8801  0.8628  1 S 1.50
O  0.6796  0.8822  0.8637  1 S 1.49
O  0.2552  0.6416  0.8606  1 Si 1.68
O  0.7630  0.6468  0.8651  1 S 1.49
O  0.0067  0.8293  0.4107  1 Si 1.65
O  0.5129  0.8199  0.4104  1 S 1.47
O  0.4002  0.9853  0.4115  1 S 1.45
O  0.9059  0.9844  0.4102  1 Si 1.64
O  0.0827  0.1837  0.4106  1 Si 1.67
O  0.5834  0.1676  0.4087  1 Si 1.61
O  0.0106  0.1782  0.9135  1 Si 1.67
O  0.5094  0.1836  0.9093  1 Si 1.65
O  0.0908  0.9801  0.9141  1 S 1.50
O  0.5922  0.9748  0.9151  1 S 1.49
O  0.4102  0.8304  0.9111  1 Si 1.62
O  0.8996  0.8173  0.9134  1 S 1.49
O  0.4928  0.1635  0.5853  1 Si 1.70
O  0.9881  0.1784  0.5853  1 S 1.50
O  0.1011  0.0220  0.5850  1 S 1.51
O  0.6035  0.0311  0.5865  1 S 1.52
O  0.4087  0.7966  0.5871  1 S 1.50
O  0.9132  0.7982  0.5862  1 S 1.49
O  0.4834  0.7934  0.0900  1 S 1.53
O  0.9803  0.7900  0.0863  1 S 1.53
O  0.4098  0.0178  0.0880  1 S 1.54
O  0.9081  0.0175  0.0874  1 S 1.51
O  0.0879  0.1623  0.0885  1 Si 1.69
O  0.5905  0.1658  0.0901  1 Si 1.67
O  0.3422  0.1484  0.7435  1 S 1.47
O  0.8422  0.1656  0.7416  1 Si 1.61
O  0.2418  0.3089  0.7409  1 Si 1.61
O  0.7415  0.3151  0.7414  1 Si 1.61
O  0.4159  0.5162  0.7452  1 Si 1.62
O  0.9207  0.5208  0.7425  1 Si 1.61
O  0.3433  0.5191  0.2462  1 Si 1.61
O  0.8454  0.5135  0.2463  1 Si 1.64
O  0.4238  0.3046  0.2417  1 S 1.46
O  0.9238  0.3162  0.2421  1 S 1.47
O  0.2462  0.1607  0.2450  1 Si 1.61
O  0.7324  0.1487  0.2439  1 S 1.49
O  0.3170  0.4899  0.9216  1 Si 1.68
O  0.8215  0.5123  0.9231  1 S 1.51
O  0.4225  0.3459  0.9232  1 Si 1.66
O  0.9206  0.3445  0.9243  1 Si 1.64
O  0.2424  0.1290  0.9213  1 S 1.50
O  0.7448  0.1296  0.9224  1 S 1.51
O  0.3189  0.1290  0.4237  1 S 1.52
O  0.8219  0.1456  0.4258  1 Si 1.66
O  0.2494  0.3378  0.4246  1 Si 1.65
O  0.7506  0.3533  0.4229  1 Si 1.72
O  0.4342  0.5140  0.4229  1 S 1.51
O  0.9290  0.4994  0.4252  1 Si 1.67
O  0.1778  0.5078  0.0810  1 Si 1.63
O  0.6814  0.5140  0.0802  1 Si 1.63
O  0.0664  0.6544  0.0764  1 S 1.45
O  0.5671  0.6556  0.0778  1 S 1.46
O  0.2568  0.8723  0.0811  1 S 1.47
O  0.7562  0.8716  0.0783  1 S 1.47
O  0.1794  0.8680  0.5788  1 S 1.47
O  0.6776  0.8698  0.5775  1 S 1.45
O  0.2555  0.6494  0.5773  1 S 1.47
O  0.7582  0.6435  0.5809  1 S 1.47
O  0.0657  0.4883  0.5801  1 S 1.47
O  0.5794  0.5034  0.5811  1 Si 1.63
O  0.1530  0.8224  0.2561  1 Si 1.64
O  0.6509  0.8403  0.2540  1 S 1.49
O  0.2602  0.6916  0.2547  1 Si 1.72
O  0.7546  0.6744  0.2537  1 Si 1.67
O  0.0765  0.4615  0.2527  1 S 1.50
O  0.5774  0.4650  0.2553  1 S 1.50
O  0.1604  0.4866  0.7543  1 Si 1.66
O  0.6564  0.4798  0.7558  1 Si 1.65
O  0.0908  0.7009  0.7553  1 Si 1.65
O  0.5864  0.6992  0.7552  1 Si 1.66
O  0.2684  0.8449  0.7561  1 S 1.49
O  0.7602  0.8294  0.7580  1 Si 1.63

## Properties
The calculated formation energy comes out at -2732 meV/atom. The volume is 14.02 A^3/atom. Its space group is P1, No. 1.

***

# 2
Below is crystalline MgSnO3 at its relaxed geometry, with properties calculated at the PBE level.

Cell lengths 5.6637, 5.6637, 5.6637 Å; angles 56.25, 56.25, 56.25 degrees
Closest atoms and distances in Å follow each position.
Fractional positions:
Mg  0.3568  0.3568  0.3568  6 O 2.08-2.22
Mg  0.6432  0.6432  0.6432  6 O 2.08-2.22
Sn  0.1470  0.1470  0.1470  6 O 2.06-2.16
Sn  0.8530  0.8530  0.8530  6 O 2.06-2.16
O  0.4485  0.7560  0.0483  2 Sn 2.06-2.16, 2 Mg 2.08-2.22
O  0.7560  0.0483  0.4485  2 Sn 2.06-2.16, 2 Mg 2.08-2.22
O  0.9517  0.5515  0.2440  2 Sn 2.06-2.16, 2 Mg 2.08-2.22
O  0.0483  0.4485  0.7560  2 Sn 2.06-2.16, 2 Mg 2.08-2.22
O  0.2440  0.9517  0.5515  2 Sn 2.06-2.16, 2 Mg 2.08-2.22
O  0.5515  0.2440  0.9517  2 Sn 2.06-2.16, 2 Mg 2.08-2.22

## Properties
The calculated formation energy comes out at -2499 meV/atom. The volume is 11.73 A^3/atom. Its space group is R-3, No. 148.

***

# 3
Below is crystalline CaSi2N2O2 at its relaxed geometry, with properties calculated at the PBE level.

Cell lengths 13.7723, 7.3855, 10.5755 Å; angles 78.11, 90.00, 90.00 degrees
Closest atoms and distances in Å follow each position.
Fractional positions:
Ca  0.8700  0.7452  0.6427  5 O 2.33-2.61, 1 N 2.60
Ca  0.3700  0.2548  0.3573  5 O 2.33-2.61, 1 N 2.60
Ca  0.9365  0.9181  0.9484  5 O 2.31-2.53
Ca  0.4249  0.4117  0.7015  4 O 2.37-2.50
Ca  0.8787  0.4116  0.9510  4 O 2.36-2.54
Ca  0.4365  0.0819  0.0516  5 O 2.31-2.53
Ca  0.8671  0.0809  0.3046  5 O 2.32-2.49
Ca  0.9249  0.5883  0.2985  4 O 2.37-2.50
Ca  0.9331  0.2567  0.6154  4 O 2.34-2.62, 1 N 2.60
Ca  0.3787  0.5884  0.0490  4 O 2.36-2.54
Ca  0.4331  0.7433  0.3846  4 O 2.34-2.62, 1 N 2.60
Ca  0.3671  0.9191  0.6954  5 O 2.32-2.49
Si  0.0970  0.6235  0.0801  1 O 1.62, 3 N 1.74-1.75
Si  0.1000  0.6181  0.5830  1 O 1.63, 3 N 1.74-1.75
Si  0.7061  0.0484  0.5606  1 O 1.64, 3 N 1.72-1.76
Si  0.5949  0.7109  0.6995  1 O 1.63, 3 N 1.75-1.77
Si  0.5977  0.0477  0.3080  1 O 1.63, 3 N 1.72-1.76
Si  0.2040  0.6202  0.3297  1 O 1.63, 3 N 1.74-1.75
Si  0.7107  0.0466  0.0556  1 O 1.62, 3 N 1.74-1.75
Si  0.7040  0.3798  0.6703  1 O 1.63, 3 N 1.74-1.75
Si  0.1039  0.2875  0.8031  1 O 1.63, 3 N 1.74-1.78
Si  0.5929  0.0474  0.8083  1 O 1.63, 3 N 1.74-1.75
Si  0.7046  0.7125  0.9444  1 O 1.63, 3 N 1.76-1.77
Si  0.0977  0.9523  0.6920  1 O 1.63, 3 N 1.72-1.76
Si  0.2061  0.9516  0.4394  1 O 1.64, 3 N 1.72-1.76
Si  0.2046  0.2875  0.0556  1 O 1.63, 3 N 1.76-1.77
Si  0.6039  0.7125  0.1969  1 O 1.63, 3 N 1.74-1.78
Si  0.0929  0.9526  0.1917  1 O 1.63, 3 N 1.74-1.75
Si  0.2081  0.6220  0.8334  1 O 1.62, 3 N 1.73-1.76
Si  0.2046  0.2886  0.5481  1 O 1.62, 3 N 1.73-1.77
Si  0.5970  0.3765  0.9199  1 O 1.62, 3 N 1.74-1.75
Si  0.0949  0.2891  0.3005  1 O 1.63, 3 N 1.75-1.77
Si  0.6000  0.3819  0.4170  1 O 1.63, 3 N 1.74-1.75
Si  0.7046  0.7114  0.4519  1 O 1.62, 3 N 1.73-1.77
Si  0.7081  0.3780  0.1666  1 O 1.62, 3 N 1.73-1.76
Si  0.2107  0.9534  0.9444  1 O 1.62, 3 N 1.74-1.75
N  0.6767  0.1456  0.6902  3 Si 1.72-1.75
N  0.6927  0.8079  0.0831  3 Si 1.74-1.76
N  0.6824  0.1398  0.1899  3 Si 1.74-1.76
N  0.1266  0.5210  0.7449  3 Si 1.73-1.75
N  0.6266  0.4790  0.2551  3 Si 1.73-1.75
N  0.1824  0.8602  0.8101  3 Si 1.74-1.76
N  0.1220  0.8609  0.0574  3 Si 1.74-1.75
N  0.6835  0.4775  0.5076  3 Si 1.73-1.75
N  0.6166  0.8074  0.3375  3 Si 1.76-1.78
N  0.6220  0.1391  0.9426  3 Si 1.74-1.75
N  0.1767  0.8544  0.3098  3 Si 1.72-1.75
N  0.1927  0.1921  0.9169  3 Si 1.74-1.76
N  0.1870  0.1922  0.4099  3 Si 1.76-1.77
N  0.6870  0.8078  0.5901  3 Si 1.76-1.77
N  0.1835  0.5225  0.4924  3 Si 1.73-1.75
N  0.6847  0.4749  0.0033  3 Si 1.74-1.76
N  0.1166  0.1926  0.6625  3 Si 1.76-1.78
N  0.6111  0.8082  0.8361  3 Si 1.75-1.77
N  0.1847  0.5251  0.9967  3 Si 1.74-1.76
N  0.1152  0.5261  0.2438  3 Si 1.75
N  0.6265  0.1463  0.4374  3 Si 1.72-1.75
N  0.1265  0.8537  0.5626  3 Si 1.72-1.75
N  0.1111  0.1918  0.1639  3 Si 1.75-1.77
N  0.6152  0.4739  0.7562  3 Si 1.75
O  0.4879  0.4266  0.4502  1 Si 1.63
O  0.4834  0.0805  0.2701  1 Si 1.63
O  0.9881  0.2654  0.3683  1 Si 1.63
O  0.4929  0.7568  0.1479  1 Si 1.63
O  0.8123  0.7368  0.8788  1 Si 1.63
O  0.4881  0.7346  0.6317  1 Si 1.63
O  0.4844  0.3978  0.9582  1 Si 1.62
O  0.4799  0.1021  0.7742  1 Si 1.63
O  0.9929  0.2432  0.8521  1 Si 1.63
O  0.3222  0.8961  0.9820  1 Si 1.62
O  0.9844  0.6022  0.0418  1 Si 1.62
O  0.8222  0.1039  0.0180  1 Si 1.62
O  0.9879  0.5734  0.5498  1 Si 1.63
O  0.8224  0.3975  0.1983  1 Si 1.62
O  0.3123  0.2632  0.1212  1 Si 1.63
O  0.9834  0.9195  0.7299  1 Si 1.63
O  0.8149  0.7587  0.4015  1 Si 1.62
O  0.8145  0.4246  0.7106  1 Si 1.63
O  0.3149  0.2413  0.5985  1 Si 1.62
O  0.3224  0.6025  0.8017  1 Si 1.62
O  0.9799  0.8979  0.2258  1 Si 1.63
O  0.3145  0.5754  0.2894  1 Si 1.63
O  0.3216  0.9213  0.4738  1 Si 1.64
O  0.8216  0.0787  0.5262  1 Si 1.64

## Properties
The calculated formation energy comes out at -2299 meV/atom. The volume is 12.53 A^3/atom. Its space group is P2_1, No. 4.